Entry 1:
Computed, not measured: a geometry-optimized TbYbRh2 structure at the r²SCAN level of DFT.

Results
- calculated volume (Å³ per atom) = 19.312
- total magnetic moment (μB per cell) = 0.00
- formation energy (eV/atom) = -0.987
- uncorrected energy (eV per atom) = -29.994
- symmetry = No. 225

abc: 4.7804 4.7804 4.7804
angles: 60.00 60.00 60.00
Sites, in units of the cell vectors:
Tb: 0.5000 0.5000 0.5000
Yb: 0.0000 0.0000 0.0000
Rh: 0.2500 0.2500 0.2500
Rh: 0.7500 0.7500 0.7500

Entry 2:
Computed, not measured: a geometry-optimized TbZnRh structure at the r²SCAN level of DFT.

Results
- calculated volume (Å³ per atom) = 18.697
- total magnetic moment (μB per cell) = 0.00
- formation energy (eV/atom) = -0.776
- uncorrected energy (eV per atom) = -22.200
- symmetry = No. 62

abc: 4.0115 6.9185 8.0841
angles: 90.00 90.00 90.00
Sites, in units of the cell vectors:
Tb: 0.2500 0.5386 0.8156
Tb: 0.7500 0.4614 0.1844
Tb: 0.2500 0.0386 0.6844
Tb: 0.7500 0.9614 0.3156
Zn: 0.2500 0.1361 0.0627
Zn: 0.7500 0.8639 0.9373
Zn: 0.2500 0.6361 0.4373
Zn: 0.7500 0.3639 0.5627
Rh: 0.7500 0.7437 0.6236
Rh: 0.2500 0.2563 0.3764
Rh: 0.7500 0.2437 0.8764
Rh: 0.2500 0.7563 0.1236

Entry 3:
Computed, not measured: a geometry-optimized Tc3Rh structure at the r²SCAN level of DFT.

Results
- calculated volume (Å³ per atom) = 14.080
- total magnetic moment (μB per cell) = 0.00
- formation energy (eV/atom) = -0.181
- uncorrected energy (eV per atom) = -25.689
- symmetry = No. 194

abc: 5.4834 5.4834 4.3257
angles: 90.00 90.00 120.00
Sites, in units of the cell vectors:
Tc: 0.1596 0.3193 0.2500
Tc: 0.6807 0.8404 0.2500
Tc: 0.1596 0.8404 0.2500
Tc: 0.8404 0.6807 0.7500
Tc: 0.3193 0.1596 0.7500
Tc: 0.8404 0.1596 0.7500
Rh: 0.3333 0.6667 0.7500
Rh: 0.6667 0.3333 0.2500

Entry 4:
Computed, not measured: a geometry-optimized TcRh3 structure at the r²SCAN level of DFT.

Results
- calculated volume (Å³ per atom) = 13.814
- total magnetic moment (μB per cell) = 0.00
- formation energy (eV/atom) = -0.091
- uncorrected energy (eV per atom) = -24.684
- symmetry = No. 194

abc: 5.4346 5.4346 4.3207
angles: 90.00 90.00 120.00
Sites, in units of the cell vectors:
Tc: 0.3333 0.6667 0.7500
Tc: 0.6667 0.3333 0.2500
Rh: 0.1684 0.3368 0.2500
Rh: 0.6632 0.8316 0.2500
Rh: 0.1684 0.8316 0.2500
Rh: 0.8316 0.6632 0.7500
Rh: 0.3368 0.1684 0.7500
Rh: 0.8316 0.1684 0.7500